[1]
RbMgF3 | Materials Project | r2SCAN | relaxed; distance to the lowest polymorph of the same formula = 0 meV per atom; space-group type = Pm-3m
1.0
-1.089 -3.841 0.723
3.585 -1.280 -1.402
1.555 0.263 3.738
Rb Mg F
1 1 3
Direct
0.000 0.000 0.000
0.500 0.500 0.500
0.000 0.500 0.500
0.500 0.000 0.500
0.500 0.500 0.000

***

[2]
Rb2MgF4 | Materials Project | r2SCAN | relaxed; uncorrected energy = -9.716 eV per atom; space-group type = I4/mmm
1.0
3.893 0.000 -1.098
-0.310 3.880 -1.098
0.002 0.002 7.456
Rb Mg F
2 1 4
Direct
0.649 0.649 0.298
0.351 0.351 0.702
0.000 0.000 0.000
0.500 0.000 0.000
0.000 0.500 0.000
0.855 0.855 0.710
0.145 0.145 0.290

***

[3]
RbMgF3 | Materials Project | r2SCAN | relaxed; distance to the lowest polymorph of the same formula = 6 meV per atom; space-group type = P6_3/mmc
1.0
4.443 3.137 -2.078
-5.372 0.823 -2.088
-2.339 9.876 9.908
Rb Mg F
6 6 18
Direct
0.000 0.000 0.250
0.000 0.000 0.750
0.333 0.667 0.098
0.667 0.333 0.598
0.667 0.333 0.902
0.333 0.667 0.402
0.000 0.000 0.000
0.000 0.000 0.500
0.333 0.667 0.847
0.667 0.333 0.347
0.667 0.333 0.153
0.333 0.667 0.653
0.520 0.040 0.250
0.480 0.520 0.750
0.040 0.520 0.750
0.960 0.480 0.250
0.520 0.480 0.250
0.480 0.960 0.750
0.834 0.668 0.080
0.166 0.834 0.580
0.668 0.834 0.580
0.332 0.166 0.080
0.834 0.166 0.080
0.166 0.332 0.920
0.166 0.834 0.920
0.166 0.332 0.580
0.668 0.834 0.920
0.332 0.166 0.420
0.834 0.668 0.420
0.834 0.166 0.420